# In4SnSe4 GGA-PBE relaxed
# crystal system: cubic
# space-group type: Pa-3, No. 205
data_In4SnSe4
_chemical_formula_sum 'In32 Sn8 Se32'
_symmetry_space_group_name_H-M 'P 1'
_symmetry_Int_Tables_number 1
_symmetry_space_group_name_Hall 'P 1'
_cell_length_a 13.013
_cell_length_b 13.013
_cell_length_c 13.013
_cell_angle_alpha 90.00
_cell_angle_beta 90.00
_cell_angle_gamma 90.00
loop_
_atom_site_label
_atom_site_fract_x
_atom_site_fract_y
_atom_site_fract_z
_atom_site_occupancy
In1 0.032 0.068 0.273 1
In2 0.032 0.432 0.773 1
In3 0.068 0.227 0.532 1
In4 0.068 0.273 0.032 1
In5 0.226 0.726 0.774 1
In6 0.226 0.774 0.274 1
In7 0.227 0.532 0.068 1
In8 0.227 0.968 0.568 1
In9 0.273 0.032 0.068 1
In10 0.273 0.468 0.568 1
In11 0.274 0.226 0.774 1
In12 0.274 0.274 0.274 1
In13 0.432 0.727 0.532 1
In14 0.432 0.773 0.032 1
In15 0.468 0.568 0.273 1
In16 0.468 0.932 0.773 1
In17 0.532 0.068 0.227 1
In18 0.532 0.432 0.727 1
In19 0.568 0.227 0.968 1
In20 0.568 0.273 0.468 1
In21 0.726 0.726 0.726 1
In22 0.726 0.774 0.226 1
In23 0.727 0.532 0.432 1
In24 0.727 0.968 0.932 1
In25 0.773 0.032 0.432 1
In26 0.773 0.468 0.932 1
In27 0.774 0.226 0.726 1
In28 0.774 0.274 0.226 1
In29 0.932 0.727 0.968 1
In30 0.932 0.773 0.468 1
In31 0.968 0.568 0.227 1
In32 0.968 0.932 0.727 1
Sn1 0.099 0.599 0.901 1
Sn2 0.099 0.901 0.401 1
Sn3 0.401 0.099 0.901 1
Sn4 0.401 0.401 0.401 1
Sn5 0.599 0.599 0.599 1
Sn6 0.599 0.901 0.099 1
Sn7 0.901 0.099 0.599 1
Sn8 0.901 0.401 0.099 1
Se1 0.072 0.237 0.826 1
Se2 0.072 0.263 0.326 1
Se3 0.074 0.074 0.074 1
Se4 0.074 0.426 0.574 1
Se5 0.174 0.572 0.263 1
Se6 0.174 0.928 0.763 1
Se7 0.237 0.674 0.572 1
Se8 0.237 0.826 0.072 1
Se9 0.263 0.174 0.572 1
Se10 0.263 0.326 0.072 1
Se11 0.326 0.072 0.263 1
Se12 0.326 0.428 0.763 1
Se13 0.426 0.574 0.074 1
Se14 0.426 0.926 0.574 1
Se15 0.428 0.737 0.826 1
Se16 0.428 0.763 0.326 1
Se17 0.572 0.237 0.674 1
Se18 0.572 0.263 0.174 1
Se19 0.574 0.074 0.426 1
Se20 0.574 0.426 0.926 1
Se21 0.674 0.572 0.237 1
Se22 0.674 0.928 0.737 1
Se23 0.737 0.674 0.928 1
Se24 0.737 0.826 0.428 1
Se25 0.763 0.174 0.928 1
Se26 0.763 0.326 0.428 1
Se27 0.826 0.072 0.237 1
Se28 0.826 0.428 0.737 1
Se29 0.926 0.574 0.426 1
Se30 0.926 0.926 0.926 1
Se31 0.928 0.737 0.674 1
Se32 0.928 0.763 0.174 1

***

# Nb3I8 GGA-PBE relaxed
# crystal system: trigonal
# space-group type: R-3m, No. 166
data_Nb3I8
_chemical_formula_sum 'Nb6 I16'
_symmetry_space_group_name_H-M 'P 1'
_symmetry_Int_Tables_number 1
_symmetry_space_group_name_Hall 'P 1'
_cell_length_a 15.567
_cell_length_b 15.567
_cell_length_c 15.567
_cell_angle_alpha 28.67
_cell_angle_beta 28.67
_cell_angle_gamma 28.67
loop_
_atom_site_label
_atom_site_fract_x
_atom_site_fract_y
_atom_site_fract_z
_atom_site_occupancy
Nb1 0.153 0.547 0.547 1
Nb2 0.453 0.453 0.847 1
Nb3 0.453 0.847 0.453 1
Nb4 0.547 0.153 0.547 1
Nb5 0.547 0.547 0.153 1
Nb6 0.847 0.453 0.453 1
I1 0.116 0.116 0.624 1
I2 0.116 0.624 0.116 1
I3 0.212 0.707 0.707 1
I4 0.219 0.219 0.219 1
I5 0.293 0.293 0.788 1
I6 0.293 0.788 0.293 1
I7 0.368 0.368 0.368 1
I8 0.376 0.884 0.884 1
I9 0.624 0.116 0.116 1
I10 0.632 0.632 0.632 1
I11 0.707 0.212 0.707 1
I12 0.707 0.707 0.212 1
I13 0.781 0.781 0.781 1
I14 0.788 0.293 0.293 1
I15 0.884 0.376 0.884 1
I16 0.884 0.884 0.376 1

***

Number 1: density 5389 kg/m3, MP2020-corrected energy -34.95 eV/f.u., formation energy from the elements -662 meV/atom. Number 2: density 5599 kg/m3, MP2020-corrected energy -51.27 eV/f.u., formation energy from the elements -798 meV/atom.